Record 1
Density functional theory data (PBE-GGA) for crystalline AgBrO3 at its relaxed geometry.

Cell and atoms, written as CIF:
```
data_AgBrO3
_cell_length_a 5.7610
_cell_length_b 5.7610
_cell_length_c 8.9358
_cell_angle_alpha 90.00
_cell_angle_beta 90.00
_cell_angle_gamma 120.00
_symmetry_space_group_name_H-M 'R 3 m'
_symmetry_Int_Tables_number 160
_symmetry_space_group_name_Hall 'R 3 -2"'
loop_
_atom_site_label
_atom_site_fract_x
_atom_site_fract_y
_atom_site_fract_z
_atom_site_occupancy
Ag1 0.0000 0.0000 0.0000 1
Br1 0.0000 0.0000 0.5495 1
O1 0.0234 0.5117 0.1383 1
```

=====

Record 2
Density functional theory data (PBE-GGA) for crystalline CdIn2Se2S2 at its relaxed geometry.

Output
- Energy relative to the lowest polymorph listed for this composition: 0 meV/atom

Cell and atoms, written as CIF:
```
data_CdIn2Se2S2
_cell_length_a 11.325
_cell_length_b 11.325
_cell_length_c 11.325
_cell_angle_alpha 90.00
_cell_angle_beta 90.00
_cell_angle_gamma 90.00
_symmetry_space_group_name_H-M 'F -4 3 m'
_symmetry_Int_Tables_number 216
_symmetry_space_group_name_Hall 'F -4 2 3'
loop_
_atom_site_label
_atom_site_fract_x
_atom_site_fract_y
_atom_site_fract_z
_atom_site_occupancy
Cd1 0.000 0.000 0.000 1
Cd2 0.250 0.250 0.250 1
In1 0.122 0.122 0.622 1
Se1 0.134 0.134 0.866 1
S1 0.115 0.115 0.385 1
```

=====

Record 3
Density functional theory data (PBE-GGA) for crystalline RbMnSb at its relaxed geometry.

Cell and atoms, written as CIF:
```
data_RbMnSb
_cell_length_a 4.763
_cell_length_b 4.763
_cell_length_c 8.687
_cell_angle_alpha 90.00
_cell_angle_beta 90.00
_cell_angle_gamma 90.00
_symmetry_space_group_name_H-M 'P 4/n m m'
_symmetry_Int_Tables_number 129
loop_
_symmetry_equiv_pos_as_xyz
'x,y,z'
'-x,-y,-z'
'-y+1/2,x,z'
'y+1/2,-x,-z'
'-x+1/2,-y+1/2,z'
'x+1/2,y+1/2,-z'
'y,-x+1/2,z'
'-y,x+1/2,-z'
'x+1/2,-y,-z'
'-x+1/2,y,z'
'-y,-x,-z'
'y,x,z'
'-x,y+1/2,-z'
'x,-y+1/2,z'
'y+1/2,x+1/2,-z'
'-y+1/2,-x+1/2,z'
loop_
_atom_site_label
_atom_site_fract_x
_atom_site_fract_y
_atom_site_fract_z
_atom_site_occupancy
Rb1 0.250 0.250 0.156 1
Mn1 0.250 0.750 0.500 1
Sb1 0.250 0.250 0.674 1
```

=====

Record 4
Density functional theory data (PBE-GGA) for crystalline AlCr2N3 at its relaxed geometry.

Cell and atoms, written as CIF:
```
data_AlCr2N3
_cell_length_a 10.587
_cell_length_b 5.638
_cell_length_c 3.938
_cell_angle_alpha 90.00
_cell_angle_beta 90.00
_cell_angle_gamma 90.00
_symmetry_space_group_name_H-M 'C m c m'
_symmetry_Int_Tables_number 63
_symmetry_space_group_name_Hall '-C 2c 2'
loop_
_atom_site_label
_atom_site_fract_x
_atom_site_fract_y
_atom_site_fract_z
_atom_site_occupancy
Al1 0.000 0.163 0.250 1
Cr1 0.181 0.342 0.750 1
N1 0.000 0.180 0.750 1
N2 0.159 0.319 0.250 1
```

=====

Record 5
Density functional theory data (PBE-GGA) for crystalline PbSO4 at its relaxed geometry.

Output
- Energy relative to the lowest polymorph listed for this composition: 45 meV/atom

Cell and atoms, written as CIF:
```
data_PbSO4
_cell_length_a 12.891
_cell_length_b 5.342
_cell_length_c 5.567
_cell_angle_alpha 90.00
_cell_angle_beta 90.00
_cell_angle_gamma 90.00
_symmetry_space_group_name_H-M 'P n m a'
_symmetry_Int_Tables_number 62
_symmetry_space_group_name_Hall '-P 2ac 2n'
loop_
_atom_site_label
_atom_site_fract_x
_atom_site_fract_y
_atom_site_fract_z
_atom_site_occupancy
Pb1 0.127 0.250 0.095 1
S1 0.121 0.750 0.728 1
O1 0.053 0.523 0.764 1
O2 0.168 0.750 0.487 1
O3 0.204 0.750 0.917 1
```

=====

Record 6
Density functional theory data (PBE-GGA) for crystalline Sr2LaI7 at its relaxed geometry.

Output
- Energy relative to the lowest polymorph listed for this composition: 2 meV/atom

Cell and atoms, written as CIF:
```
data_Sr2LaI7
_cell_length_a 7.901
_cell_length_b 17.598
_cell_length_c 11.956
_cell_angle_alpha 90.00
_cell_angle_beta 90.26
_cell_angle_gamma 90.00
_symmetry_space_group_name_H-M 'P 1 21/c 1'
_symmetry_Int_Tables_number 14
_symmetry_space_group_name_Hall '-P 2ybc'
loop_
_atom_site_label
_atom_site_fract_x
_atom_site_fract_y
_atom_site_fract_z
_atom_site_occupancy
Sr1 0.206 0.218 0.053 1
Sr2 0.216 0.560 0.177 1
La1 0.284 0.631 0.724 1
I1 0.002 0.105 0.572 1
I2 0.006 0.239 0.304 1
I3 0.180 0.043 0.209 1
I4 0.193 0.642 0.463 1
I5 0.352 0.074 0.877 1
I6 0.498 0.103 0.556 1
I7 0.500 0.214 0.277 1
```

=====

Record 7
Density functional theory data (PBE-GGA) for crystalline CuPb5Se4Cl4O12 at its relaxed geometry.

Cell and atoms, written as CIF:
```
data_CuPb5Se4Cl4O12
_cell_length_a 25.220
_cell_length_b 5.521
_cell_length_c 14.388
_cell_angle_alpha 90.00
_cell_angle_beta 100.69
_cell_angle_gamma 90.00
_symmetry_space_group_name_H-M 'C 1 2/c 1'
_symmetry_Int_Tables_number 15
_symmetry_space_group_name_Hall '-C 2yc'
loop_
_atom_site_label
_atom_site_fract_x
_atom_site_fract_y
_atom_site_fract_z
_atom_site_occupancy
Cu1 0.000 0.000 0.000 1
Pb1 0.000 0.065 0.250 1
Pb2 0.111 0.441 0.676 1
Pb3 0.231 0.015 0.131 1
Se1 0.045 0.489 0.917 1
Se2 0.163 0.003 0.323 1
Cl1 0.113 0.032 0.538 1
Cl2 0.208 0.489 0.042 1
O1 0.001 0.236 0.893 1
O2 0.007 0.291 0.086 1
O3 0.064 0.446 0.312 1
O4 0.099 0.058 0.761 1
O5 0.185 0.239 0.261 1
O6 0.194 0.239 0.775 1
```

=====

Record 8
Density functional theory data (PBE-GGA) for crystalline Ba8Sn4S15 at its relaxed geometry.

Cell and atoms, written as CIF:
```
data_Ba8Sn4S15
_cell_length_a 29.131
_cell_length_b 8.670
_cell_length_c 25.747
_cell_angle_alpha 90.00
_cell_angle_beta 90.00
_cell_angle_gamma 90.00
_symmetry_space_group_name_H-M 'P c a 21'
_symmetry_Int_Tables_number 29
_symmetry_space_group_name_Hall 'P 2c -2ac'
loop_
_atom_site_label
_atom_site_fract_x
_atom_site_fract_y
_atom_site_fract_z
_atom_site_occupancy
Ba1 0.014 0.153 0.041 1
Ba2 0.019 0.554 0.899 1
Ba3 0.020 0.067 0.729 1
Ba4 0.023 0.354 0.578 1
Ba5 0.107 0.746 0.665 1
Ba6 0.118 0.794 0.319 1
Ba7 0.125 0.423 0.133 1
Ba8 0.127 0.291 0.319 1
Ba9 0.131 0.946 0.500 1
Ba10 0.132 0.910 0.847 1
Ba11 0.137 0.396 0.786 1
Ba12 0.139 0.752 0.004 1
Ba13 0.223 0.565 0.585 1
Ba14 0.226 0.085 0.050 1
Ba15 0.243 0.448 0.916 1
Ba16 0.247 0.950 0.718 1
Sn1 0.004 0.060 0.888 1
Sn2 0.006 0.567 0.735 1
Sn3 0.119 0.328 0.968 1
Sn4 0.122 0.912 0.151 1
Sn5 0.126 0.428 0.479 1
Sn6 0.143 0.164 0.638 1
Sn7 0.238 0.432 0.231 1
Sn8 0.243 0.920 0.403 1
S1 0.022 0.265 0.168 1
S2 0.042 0.059 0.322 1
S3 0.042 0.766 0.438 1
S4 0.044 0.532 0.300 1
S5 0.050 0.896 0.944 1
S6 0.058 0.743 0.161 1
S7 0.059 0.492 0.024 1
S8 0.061 0.207 0.840 1
S9 0.061 0.396 0.693 1
S10 0.062 0.258 0.464 1
S11 0.064 0.028 0.604 1
S12 0.065 0.710 0.783 1
S13 0.106 0.603 0.550 1
S14 0.115 0.080 0.075 1
S15 0.134 0.551 0.901 1
S16 0.137 0.048 0.731 1
S17 0.145 0.041 0.229 1
S18 0.153 0.551 0.401 1
S19 0.164 0.549 0.242 1
S20 0.169 0.037 0.390 1
S21 0.185 0.427 0.026 1
S22 0.189 0.771 0.118 1
S23 0.189 0.927 0.608 1
S24 0.191 0.286 0.511 1
S25 0.194 0.091 0.927 1
S26 0.199 0.605 0.709 1
S27 0.233 0.280 0.152 1
S28 0.236 0.762 0.830 1
S29 0.242 0.776 0.484 1
S30 0.243 0.267 0.802 1
```

=====

no.,energy of formation from the pure elements (kcal/mol of atoms)
1,-6.6
2,-16.0
3,-4.0
4,-17.5
5,-43.0
6,-42.2
7,-30.7
8,-40.0